Record 1
! meta-GGA r2SCAN La4Re6O19, relaxed; values from VASP
&SYSTEM
  ibrav = 0, nat = 29, ntyp = 3
/
ATOMIC_SPECIES
La 138.91 La.upf
O 16.00 O.upf
Re 186.21 Re.upf
CELL_PARAMETERS angstrom
2.386 -7.269 -1.794
4.416 2.839 5.847
-7.525 -0.195 2.256
ATOMIC_POSITIONS angstrom
La 1.396 0.893 1.847
La -2.377 -0.061 0.716
La -0.494 -3.164 4.316
La 0.751 -2.297 -0.566
O -3.483 -5.068 0.313
O -0.999 0.850 2.608
O 2.058 -2.909 3.934
O -4.402 -4.073 2.518
O 2.188 -1.427 1.303
O -1.658 -0.936 4.955
O 0.758 -0.509 3.933
O -2.115 1.792 5.498
O -0.013 0.637 6.474
O 4.616 -3.003 2.755
O -2.498 -1.897 2.542
O -1.692 -4.425 2.394
O -0.495 -4.947 -0.185
O 0.000 -0.002 0.003
O 0.805 -3.578 1.688
O -1.655 -2.401 0.150
O -3.675 0.352 3.335
O 3.395 -0.366 3.619
O 3.085 -5.085 2.634
Re 2.260 -1.245 4.999
Re -3.439 -1.416 4.220
Re -2.985 -3.382 1.309
Re 2.719 -3.210 2.089
Re -0.073 -5.356 1.717
Re -0.649 0.734 4.594
! - Uncorrected energy: -21.296 eV/atom
! - Total magnetic moment: 0.01 μB/f.u.

=====

Record 2
! meta-GGA r2SCAN Hf5Ga3, relaxed; values from VASP
&SYSTEM
  ibrav = 0, nat = 16, ntyp = 2
/
ATOMIC_SPECIES
Ga 69.72 Ga.upf
Hf 178.49 Hf.upf
CELL_PARAMETERS angstrom
-7.477 0.951 -2.538
4.502 -5.835 -2.989
-1.825 -3.491 4.067
ATOMIC_POSITIONS angstrom
Ga -3.175 -5.584 -0.305
Ga -4.996 -0.295 -0.524
Ga 2.278 -4.416 -0.798
Ga -1.625 -2.792 -1.155
Ga -4.306 -2.244 2.053
Ga 0.400 -4.910 1.876
Hf 0.634 -2.285 0.293
Hf -2.711 -4.575 -3.172
Hf -3.484 -1.311 -2.688
Hf -0.403 -5.319 -0.805
Hf -7.036 -1.897 1.126
Hf -4.396 -3.057 -0.655
Hf -2.266 -0.643 0.402
Hf 0.509 -3.573 -2.839
Hf 2.044 -7.041 0.785
Hf -2.088 -3.800 1.713
! - Uncorrected energy: -33.029 eV/atom
! - Total magnetic moment: 1.01 μB/f.u.

=====

Record 3
! meta-GGA r2SCAN EuGa2Ge4, relaxed; values from VASP
&SYSTEM
  ibrav = 0, nat = 14, ntyp = 3
/
ATOMIC_SPECIES
Ga 69.72 Ga.upf
Ge 72.64 Ge.upf
Eu 151.96 Eu.upf
CELL_PARAMETERS angstrom
-3.169 4.725 1.800
2.023 -5.178 2.171
11.176 6.006 3.912
ATOMIC_POSITIONS angstrom
Ga 9.470 5.442 5.532
Ga 4.104 2.016 3.592
Ga 5.925 3.537 4.291
Ga 0.559 0.111 2.351
Ge 1.282 -2.280 2.287
Ge 6.613 9.122 5.126
Ge 3.416 -3.569 2.757
Ge 4.516 7.995 4.392
Ge 5.513 -2.442 3.491
Ge 4.374 5.483 4.065
Ge 8.747 7.833 5.596
Ge 5.655 0.070 3.818
Eu 0.720 4.137 2.856
Eu 9.309 1.416 5.027
! - Uncorrected energy: -16.963 eV/atom
! - Total magnetic moment: 7.01 μB/f.u.

=====

Record 4
! meta-GGA r2SCAN SiO2, relaxed; values from VASP
&SYSTEM
  ibrav = 0, nat = 48, ntyp = 2
/
ATOMIC_SPECIES
Si 28.09 Si.upf
O 16.00 O.upf
CELL_PARAMETERS angstrom
8.483 0.000 -3.443
-1.397 8.367 -3.443
-0.006 -0.007 12.157
ATOMIC_POSITIONS angstrom
Si 7.122 0.854 1.156
Si -0.042 7.507 4.115
Si 4.182 0.854 2.349
Si 2.899 7.507 2.922
Si 5.282 7.162 4.956
Si 7.414 1.199 -1.963
Si 6.197 6.393 -1.123
Si 0.883 1.968 6.395
Si 0.151 4.262 8.428
Si 5.766 4.262 6.149
Si 3.824 1.968 5.201
Si -0.334 7.162 7.235
Si 6.930 4.099 -3.156
Si 1.799 1.199 0.316
Si 3.257 6.393 0.070
Si 1.314 4.099 -0.877
O 3.935 7.151 4.089
O -1.093 6.523 3.393
O 0.672 3.298 7.261
O 7.053 1.209 -0.403
O 2.580 7.682 -0.637
O -0.069 4.554 -0.170
O 6.189 7.682 -2.101
O 7.149 3.807 5.442
O 0.526 0.994 1.295
O 5.678 1.078 1.816
O 3.145 1.209 1.182
O 1.167 4.184 -2.479
O 2.501 5.063 -0.403
O 0.891 0.679 7.373
O 4.500 0.679 5.909
O 6.611 -0.007 9.471
O 1.667 2.587 -0.477
O 4.806 6.294 -0.330
O 6.408 5.063 -1.989
O 8.173 1.837 1.879
O 0.125 5.774 7.895
O 1.403 7.283 3.455
O 3.932 1.837 3.600
O 4.579 3.298 5.675
O 5.913 4.177 7.750
O 3.149 6.524 1.672
O 0.028 7.152 5.675
O 5.413 5.774 5.749
O 2.274 2.067 5.601
O 0.469 8.367 -4.200
O 6.956 2.587 -2.623
O 6.555 7.367 3.977
! - Uncorrected energy: -9.927 eV/atom
! - Total magnetic moment: 0.00 μB/f.u.

=====

Record 5
! meta-GGA r2SCAN LiZn2B5H20, relaxed; values from VASP
&SYSTEM
  ibrav = 0, nat = 112, ntyp = 4
/
ATOMIC_SPECIES
H 1.01 H.upf
Zn 65.41 Zn.upf
B 10.81 B.upf
Li 6.94 Li.upf
CELL_PARAMETERS angstrom
-9.128 2.105 -3.821
3.375 -8.082 5.064
-3.980 6.560 13.124
ATOMIC_POSITIONS angstrom
H -2.458 1.341 2.134
H -3.625 -3.058 6.173
H 0.494 -2.777 2.827
H -3.165 -3.945 3.000
H -2.797 0.115 7.127
H -10.453 5.322 5.513
H -0.065 -1.456 1.481
H -8.688 4.921 4.796
H -1.834 -1.556 12.338
H -4.583 -1.740 7.512
H -2.435 -5.820 3.460
H -9.908 3.509 -0.681
H -5.350 0.829 14.487
H -9.028 4.169 6.567
H -3.791 -3.446 8.089
H -1.155 -3.767 4.845
H -9.668 2.040 12.886
H -4.290 3.963 7.511
H -3.994 -5.071 4.385
H -4.877 -0.048 5.502
H -6.041 1.956 2.640
H -0.762 -5.420 5.833
H -10.227 3.361 11.540
H -6.569 4.528 11.367
H -7.427 2.102 4.041
H -0.966 -0.511 7.479
H -9.591 1.653 10.814
H -7.276 -0.757 12.232
H 2.529 -7.045 6.136
H -3.936 2.298 14.182
H -0.706 -3.586 7.799
H -1.724 -1.083 5.762
H -3.803 -1.343 4.244
H -2.247 0.129 11.414
H -5.943 4.029 6.277
H 0.369 -2.868 9.265
H 0.684 -3.918 5.521
H -7.298 6.403 10.907
H -9.888 5.767 10.268
H -6.776 -3.145 3.067
H -4.856 0.631 8.864
H -10.418 4.501 8.845
H -5.720 -1.012 4.026
H -1.380 0.843 5.978
H -1.476 -2.190 2.635
H -5.797 -1.715 0.185
H -8.972 6.003 8.533
H 0.720 -4.739 8.854
H -4.285 0.479 3.716
H -4.014 1.596 10.340
H -12.263 7.629 8.230
H -2.958 3.728 11.300
H -1.045 -4.337 9.571
H -6.108 3.642 8.193
H -4.689 -1.034 1.633
H -5.700 6.162 12.029
H -8.009 1.667 8.604
H -8.354 -0.259 8.389
H -5.151 2.323 6.854
H -7.487 0.455 2.952
H -0.143 -1.069 3.553
H -5.444 -3.379 6.856
H -6.135 0.154 0.647
H -7.899 2.139 2.028
H -8.579 4.351 9.522
H 0.175 -2.926 15.047
H -10.102 3.452 5.101
H -4.383 -0.246 -0.121
H -8.258 2.774 11.732
H -3.598 0.430 13.719
H -4.033 -5.578 2.338
H -5.045 1.617 12.733
H -8.767 1.095 6.887
H -2.307 -1.519 10.325
H -5.739 5.655 9.982
H -5.930 1.927 10.122
H -3.693 -1.373 11.727
H -5.449 0.105 10.650
H -6.936 0.469 7.240
H 0.155 -5.183 4.099
Zn 0.458 -4.860 7.055
Zn -0.968 -1.648 15.903
Zn -8.766 2.232 -1.537
Zn -5.756 0.171 2.488
Zn -6.240 1.832 8.234
Zn -3.978 0.412 11.879
Zn -3.493 -1.249 6.133
Zn -10.191 5.444 7.312
B -1.693 -0.146 6.596
B -5.065 1.066 9.991
B -8.040 0.729 7.770
B -4.480 1.296 13.801
B -4.669 -0.483 4.375
B -9.453 5.152 9.325
B -9.430 2.485 11.739
B -5.363 3.511 7.192
B 2.101 -6.431 7.108
B -0.177 -3.869 8.883
B -0.303 -1.901 2.627
B -2.497 -1.104 11.442
B -9.556 4.452 5.483
B -0.280 -4.569 5.041
B -4.370 -2.927 7.174
B -7.237 1.687 2.924
B -3.379 -5.097 3.292
B -5.253 -0.712 0.565
B -6.355 5.680 11.075
B -11.835 7.015 7.259
Li -8.620 4.813 11.551
Li -8.885 3.370 3.386
Li -1.113 -4.229 2.816
Li -0.848 -2.787 10.980
! - Uncorrected energy: -4.633 eV/atom
! - Total magnetic moment: 0.00 μB/f.u.

=====

Record 6
! meta-GGA r2SCAN Cs3ZnBr5, relaxed; values from VASP
&SYSTEM
  ibrav = 0, nat = 18, ntyp = 3
/
ATOMIC_SPECIES
Cs 132.91 Cs.upf
Br 79.90 Br.upf
Zn 65.41 Zn.upf
CELL_PARAMETERS angstrom
7.441 1.157 -6.935
7.752 -1.458 6.526
-7.765 -6.581 -1.099
ATOMIC_POSITIONS angstrom
Cs 7.485 -3.283 -2.056
Cs 3.798 -0.075 -0.102
Cs 7.645 -2.004 2.928
Cs -0.216 -4.877 -4.436
Cs 11.395 -0.225 -0.307
Cs -0.056 -3.598 0.548
Br 2.165 -2.389 -5.984
Br 5.264 -4.492 4.476
Br 2.253 -3.128 -2.178
Br 5.017 -4.718 -4.526
Br 2.317 -5.969 2.281
Br 7.597 -0.150 -0.205
Br 5.112 -0.912 -3.789
Br 5.176 -3.753 0.669
Br 0.000 0.000 0.000
Br 2.412 -2.163 3.018
Zn 3.637 -2.787 -4.119
Zn 3.792 -4.094 2.611
! - Uncorrected energy: -18.486 eV/atom
! - Total magnetic moment: 0.00 μB/f.u.

=====

Record 7
! meta-GGA r2SCAN Na3YBr6, relaxed; values from VASP
&SYSTEM
  ibrav = 0, nat = 20, ntyp = 3
/
ATOMIC_SPECIES
Br 79.90 Br.upf
Na 22.99 Na.upf
Y 88.91 Y.upf
CELL_PARAMETERS angstrom
-2.230 2.700 -6.822
2.524 -5.919 -3.167
-7.093 -10.543 -1.855
ATOMIC_POSITIONS angstrom
Br -6.061 -11.642 -4.183
Br -7.431 -9.300 -7.220
Br -2.570 -2.126 -3.768
Br -2.824 -5.995 -4.203
Br -4.228 -11.636 -8.076
Br -2.657 -10.045 -4.765
Br 0.633 -4.462 -4.624
Br -0.737 -2.121 -7.661
Br -5.283 -8.408 -2.143
Br -3.974 -7.767 -7.641
Br -1.515 -5.355 -9.701
Br -4.141 -3.718 -7.079
Na -5.405 -8.382 -5.122
Na -1.393 -5.381 -6.722
Na -2.284 -8.231 -2.511
Na -1.126 -3.997 -1.952
Na 0.147 -1.609 -4.995
Na -5.672 -9.765 -9.892
Y -4.661 -3.922 -4.338
Y 0.000 0.000 0.000
! - Uncorrected energy: -12.997 eV/atom
! - Total magnetic moment: 0.00 μB/f.u.